Record 1
Crystalline ZnSn3O7 at its relaxed geometry. Source: the Materials Project, functional PBE.

Results
ΔE_f = -1.812 eV per atom
Total DFT energy (no corrections) = -252.19 eV per cell
Symmetry = No. 62
Total energy after the MP2020 corrections = -6.169 eV per atom

Unit cell a=10.296 b=10.436 c=5.263 alpha=90.00 beta=90.00 gamma=90.00
Sites, in units of the cell vectors:
Zn 0.119 0.250 0.162
Zn 0.381 0.750 0.662
Zn 0.619 0.250 0.338
Zn 0.881 0.750 0.838
Sn 0.142 0.012 0.638
Sn 0.142 0.488 0.638
Sn 0.150 0.750 0.178
Sn 0.350 0.250 0.678
Sn 0.358 0.512 0.138
Sn 0.358 0.988 0.138
Sn 0.642 0.012 0.862
Sn 0.642 0.488 0.862
Sn 0.650 0.750 0.322
Sn 0.850 0.250 0.822
Sn 0.858 0.512 0.362
Sn 0.858 0.988 0.362
O 0.032 0.085 0.327
O 0.032 0.415 0.327
O 0.039 0.250 0.805
O 0.218 0.620 0.921
O 0.218 0.880 0.921
O 0.247 0.621 0.414
O 0.247 0.879 0.414
O 0.253 0.121 0.914
O 0.253 0.379 0.914
O 0.282 0.120 0.421
O 0.282 0.380 0.421
O 0.461 0.750 0.305
O 0.468 0.585 0.827
O 0.468 0.915 0.827
O 0.532 0.085 0.173
O 0.532 0.415 0.173
O 0.539 0.250 0.695
O 0.718 0.620 0.579
O 0.718 0.880 0.579
O 0.747 0.621 0.086
O 0.747 0.879 0.086
O 0.753 0.121 0.586
O 0.753 0.379 0.586
O 0.782 0.120 0.079
O 0.782 0.380 0.079
O 0.961 0.750 0.195
O 0.968 0.585 0.673
O 0.968 0.915 0.673

Record 2
Crystalline ZnSnO3 at its relaxed geometry. Source: the Materials Project, functional PBE.

Results
ΔE_f = -1.939 eV per atom
Total DFT energy (no corrections) = -55.50 eV per cell
Symmetry = No. 161
Total energy after the MP2020 corrections = -5.962 eV per atom
Maximum piezoelectric response = 1.1 C/m²

Unit cell a=5.659 b=5.659 c=5.659 alpha=56.43 beta=56.43 gamma=56.43
Sites, in units of the cell vectors:
Zn 0.000 0.000 0.000
Zn 0.500 0.500 0.500
Sn 0.218 0.218 0.218
Sn 0.718 0.718 0.718
O 0.109 0.823 0.429
O 0.323 0.609 0.929
O 0.429 0.109 0.823
O 0.609 0.929 0.323
O 0.823 0.429 0.109
O 0.929 0.323 0.609

Record 3
Crystalline ZnSn5O7 at its relaxed geometry. Source: the Materials Project, functional PBE.

Results
ΔE_f = -1.482 eV per atom
Total DFT energy (no corrections) = -140.80 eV per cell
Symmetry = No. 63
Total energy after the MP2020 corrections = -5.785 eV per atom

Unit cell a=5.517 b=5.517 c=23.116 alpha=90.00 beta=90.00 gamma=146.01
Sites, in units of the cell vectors:
Zn 0.148 0.852 0.750
Zn 0.852 0.148 0.250
Sn 0.000 0.000 0.000
Sn 0.000 0.000 0.500
Sn 0.282 0.718 0.087
Sn 0.282 0.718 0.413
Sn 0.442 0.558 0.667
Sn 0.442 0.558 0.833
Sn 0.558 0.442 0.167
Sn 0.558 0.442 0.333
Sn 0.718 0.282 0.587
Sn 0.718 0.282 0.913
O 0.072 0.928 0.655
O 0.072 0.928 0.845
O 0.190 0.810 0.181
O 0.190 0.810 0.319
O 0.371 0.629 0.582
O 0.371 0.629 0.918
O 0.472 0.528 0.250
O 0.528 0.472 0.750
O 0.629 0.371 0.082
O 0.629 0.371 0.418
O 0.810 0.190 0.681
O 0.810 0.190 0.819
O 0.928 0.072 0.155
O 0.928 0.072 0.345

> What is the ΔE_f in the second record?

-1.939 eV per atom

> Which of these has the lowest total DFT energy (no corrections)?

ZnSn3O7